[1]
GGA-PBE B10H14S, optimized geometry; calculated density = 0.9 g cm⁻³; energy relative to the elements = -0.1260 eV per atom; relative energy among the computed polymorphs = 0.0000 eV/atom; SG = P2_12_12_1 (19); total magnetization = 0.0009 μB/atom
1.0
7.602 0.000 0.000
0.000 12.297 0.000
0.000 0.000 12.794
B H S
40 56 4
direct
0.770 0.543 0.071
0.730 0.457 0.571
0.270 0.957 0.929
0.230 0.043 0.429
0.907 0.427 0.081
0.593 0.573 0.581
0.407 0.073 0.919
0.093 0.927 0.419
0.686 0.413 0.036
0.814 0.587 0.536
0.186 0.087 0.964
0.314 0.913 0.464
0.542 0.515 0.085
0.958 0.485 0.585
0.042 0.985 0.915
0.458 0.015 0.415
0.899 0.525 0.185
0.601 0.475 0.685
0.399 0.975 0.815
0.101 0.025 0.315
0.925 0.383 0.209
0.575 0.617 0.709
0.425 0.117 0.791
0.075 0.883 0.291
0.769 0.318 0.126
0.731 0.682 0.626
0.269 0.182 0.874
0.231 0.818 0.374
0.527 0.377 0.128
0.973 0.623 0.628
0.027 0.123 0.872
0.473 0.877 0.372
0.489 0.489 0.214
0.011 0.511 0.714
0.989 0.011 0.786
0.511 0.989 0.286
0.662 0.582 0.187
0.838 0.418 0.687
0.162 0.918 0.813
0.338 0.082 0.313
0.026 0.417 0.022
0.474 0.583 0.522
0.526 0.083 0.978
0.974 0.917 0.478
0.662 0.377 0.951
0.838 0.623 0.451
0.162 0.123 0.049
0.338 0.877 0.549
0.438 0.557 0.028
0.062 0.443 0.528
0.938 0.943 0.972
0.562 0.057 0.472
0.013 0.587 0.208
0.487 0.413 0.708
0.513 0.913 0.792
0.987 0.087 0.292
0.046 0.340 0.250
0.454 0.660 0.750
0.546 0.160 0.750
0.954 0.840 0.250
0.787 0.225 0.105
0.713 0.775 0.605
0.287 0.275 0.895
0.213 0.725 0.395
0.410 0.315 0.110
0.090 0.685 0.610
0.910 0.185 0.890
0.590 0.815 0.390
0.357 0.507 0.260
0.143 0.493 0.760
0.857 0.993 0.740
0.643 0.007 0.240
0.646 0.675 0.213
0.854 0.325 0.713
0.146 0.825 0.787
0.354 0.175 0.287
0.873 0.465 0.270
0.627 0.535 0.770
0.373 0.035 0.730
0.127 0.965 0.230
0.781 0.324 0.229
0.719 0.676 0.729
0.281 0.176 0.771
0.219 0.824 0.271
0.530 0.384 0.232
0.970 0.616 0.732
0.030 0.116 0.768
0.470 0.884 0.268
0.623 0.525 0.272
0.877 0.475 0.772
0.123 0.975 0.728
0.377 0.025 0.228
0.715 0.716 0.980
0.785 0.284 0.480
0.215 0.784 0.020
0.285 0.216 0.520
0.854 0.648 0.979
0.646 0.352 0.479
0.354 0.852 0.021
0.146 0.148 0.521

---

[2]
GGA-PBE TbBH4, optimized geometry; calculated density = 6.2 g cm⁻³; energy relative to the elements = -0.3284 eV per atom; SG = Imm2 (44); total magnetization = 0.0000 μB/atom
1.0
-0.008 -4.156 0.000
0.001 0.001 -5.740
5.871 2.067 2.873
Tb B H
3 3 12
direct
0.000 0.533 0.000
0.336 0.895 0.672
0.664 0.223 0.328
0.000 0.050 0.000
0.334 0.387 0.668
0.666 0.719 0.332
0.909 0.087 0.818
0.091 0.269 0.182
0.755 0.916 0.000
0.245 0.916 0.000
0.091 0.520 0.674
0.909 0.846 0.326
0.420 0.338 0.840
0.580 0.499 0.160
0.583 0.520 0.674
0.417 0.846 0.326
0.242 0.179 0.484
0.758 0.696 0.516